(1)
LiMnP2O8: relaxed, PBE with a Hubbard U.

a b c (Å): 6.2069 6.2069 8.9665
angles (deg): 70.24 75.22 98.22
Atoms (fractional coordinates):
P1 0.2871 0.9809 0.3546
Mn1 0.8487 0.1002 0.2525
O1 0.8289 0.8507 0.7612
P2 0.7083 0.0087 0.6500
P3 0.8413 0.6416 0.1500
O2 0.8017 0.7825 0.2618
O3 0.7227 0.9534 0.4923
O4 0.1560 0.1179 0.2434
O5 0.8881 0.4099 0.2612
Mn2 0.1473 0.8988 0.7525
Li1 0.6154 0.3463 0.9917
O6 0.3867 0.3678 0.8908
O7 0.0543 0.7850 0.9923
O8 0.6270 0.5662 0.1048
O9 0.1587 0.2244 0.7338
O10 0.4558 0.9366 0.7618
Li2 0.1621 0.3930 0.4917
O11 0.9361 0.2443 0.0074
O12 0.1386 0.6005 0.7434
O13 0.2483 0.0565 0.5074
O14 0.8289 0.2682 0.6048
P4 0.1644 0.3583 0.8546
O15 0.2414 0.7225 0.3908
O16 0.5418 0.1076 0.2338

Summary:
**ΔE_f**: -2272 meV/atom
**M_tot**: 2.0 μB per formula unit
**Calculated density**: 2.749 Mg/m³
**DFT total energy**: -0.250 Ha/atom


(2)
LiMnPO5: relaxed, PBE with a Hubbard U.

a b c (Å): 10.2493 4.9671 7.2124
angles (deg): 67.60 90.00 90.00
Atoms (fractional coordinates):
Mn1 0.9285 0.4463 0.1807
O1 0.7191 0.6466 0.5240
O2 0.9257 0.7825 0.6634
O3 0.7809 0.6466 0.0240
Mn2 0.4285 0.5537 0.3193
O4 0.9616 0.2675 0.0001
O5 0.5672 0.6970 0.8369
O6 0.6885 0.1352 0.8557
O7 0.4616 0.7325 0.4999
Li1 0.9032 0.0395 0.8337
Li2 0.4032 0.9605 0.6663
O8 0.2191 0.3534 0.9760
P1 0.8492 0.8088 0.4705
Li3 0.0968 0.9605 0.1663
O9 0.1885 0.8648 0.6443
Li4 0.5968 0.0395 0.3337
O10 0.4328 0.3030 0.1631
O11 0.2809 0.3534 0.4760
O12 0.0672 0.3030 0.6631
O13 0.5743 0.7825 0.1634
Mn3 0.5715 0.4463 0.6807
P2 0.6508 0.8088 0.9705
O14 0.4257 0.2175 0.8366
O15 0.0743 0.2175 0.3366
P3 0.3492 0.1912 0.0295
O16 0.9328 0.6970 0.3369
P4 0.1508 0.1912 0.5295
Mn4 0.0715 0.5537 0.8193
O17 0.5384 0.2675 0.5001
O18 0.0384 0.7325 0.9999
O19 0.3115 0.8648 0.1443
O20 0.8115 0.1352 0.3557

Summary:
**Offset from the most stable computed form**: 0.000 eV/atom
**ΔE_f**: -2349 meV/atom
**M_tot**: 3.0 μB per formula unit
**Calculated density**: 3.382 Mg/m³
**DFT total energy**: -0.252 Ha/atom


(3)
LiMn4P3O12: relaxed, PBE with a Hubbard U.

a b c (Å): 6.6911 9.3128 15.0618
angles (deg): 89.84 90.00 90.00
Atoms (fractional coordinates):
O1 0.5000 0.3499 0.5163
P1 0.5000 0.6819 0.6656
P2 0.5000 0.6725 0.3237
Mn1 0.7467 0.0076 0.9945
Mn2 0.7480 0.5094 0.4975
Mn3 0.2595 0.4946 0.8333
O2 0.3056 0.1240 0.8797
O3 0.1895 0.8794 0.7822
P3 0.0000 0.8228 0.8252
O4 0.5000 0.6220 0.7625
P4 0.0000 0.3196 0.6704
Mn4 0.5000 0.8498 0.1598
O5 0.1908 0.8809 0.1149
P5 0.5000 0.1799 0.8359
P6 0.0000 0.3185 0.3376
P7 0.5000 0.1795 0.5070
O6 0.5000 0.8504 0.9927
Li1 0.0000 0.1554 0.5086
O7 0.8084 0.3792 0.3812
P8 0.0000 0.8213 0.4933
Mn5 0.2486 0.9940 0.3388
O8 0.1877 0.3863 0.0516
Mn6 0.7524 0.4945 0.1674
Mn7 0.2533 0.0076 0.9945
O9 0.3079 0.6250 0.9510
O10 0.5000 0.1402 0.7345
O11 0.6935 0.1237 0.5493
O12 0.5000 0.3472 0.8439
O13 0.6913 0.6217 0.6188
P9 0.5000 0.1727 0.1736
O14 0.1898 0.3828 0.7140
O15 0.0000 0.1524 0.3558
Li2 0.5000 0.3421 0.6776
P10 0.0000 0.8235 0.1626
O16 0.0000 0.8642 0.5961
Mn8 0.2593 0.9991 0.6678
O17 0.5000 0.1438 0.4036
O18 0.5000 0.6207 0.4223
O19 0.6890 0.6159 0.2777
O20 0.6921 0.6250 0.9510
Mn9 0.0000 0.6554 0.6596
O21 0.0000 0.8701 0.2601
Mn10 0.7514 0.9940 0.3388
O22 0.0000 0.3538 0.2359
O23 0.0000 0.3603 0.5690
O24 0.1903 0.8778 0.4501
O25 0.6944 0.1240 0.8797
O26 0.8092 0.8809 0.1149
O27 0.0000 0.6512 0.4934
Li3 0.0000 0.1614 0.8361
Mn11 0.7405 0.4946 0.8333
O28 0.0000 0.1548 0.0229
O29 0.0000 0.8550 0.9291
Mn12 0.0000 0.6450 0.9942
O30 0.0000 0.1530 0.6874
Li4 0.0000 0.1581 0.1725
O31 0.5000 0.6389 0.0969
P11 0.5000 0.6825 0.9952
Mn13 0.2476 0.4945 0.1674
O32 0.8123 0.3863 0.0516
O33 0.5000 0.8428 0.3069
Mn14 0.7407 0.9991 0.6678
O34 0.3065 0.1237 0.5493
O35 0.5000 0.3411 0.1930
O36 0.3110 0.6159 0.2777
O37 0.3087 0.6217 0.6188
O38 0.5000 0.8461 0.6549
O39 0.8097 0.8778 0.4501
Mn15 0.5000 0.3530 0.3406
P12 0.0000 0.3234 0.0081
O40 0.0000 0.3650 0.9063
O41 0.0000 0.6502 0.8124
O42 0.0000 0.6558 0.1409
O43 0.8102 0.3828 0.7140
O44 0.6916 0.1146 0.2190
O45 0.8105 0.8794 0.7822
O46 0.1916 0.3792 0.3812
O47 0.3084 0.1146 0.2190
Mn16 0.2520 0.5094 0.4975
O48 0.5000 0.1251 0.0749

Summary:
**Offset from the most stable computed form**: 0.030 eV/atom
**ΔE_f**: -2521 meV/atom
**M_tot**: 20.0 μB per formula unit
**Calculated density**: 3.621 Mg/m³
**DFT total energy**: -0.275 Ha/atom